10
Lattice="-2.2464 1.5926 -5.2498 -5.3602 2.5154 -0.2904 -0.5090 5.7410 -1.3877" Properties=species:S:1:pos:R:3 comment="BaEuVBiO6 (PBE with a Hubbard U, optimized geometry)" space_group="No. 216" pbc="T T T"
O -3.2342 3.4096 -4.2759
O -5.6713 4.5533 -4.4079
O -4.8814 6.4394 -2.6519
O -3.4656 6.0198 -4.9068
O -2.4442 5.2957 -2.5199
O -4.6500 3.8291 -2.0210
V -4.0578 4.9245 -3.4639
Ba -6.0867 7.3867 -5.1959
Eu -2.0289 2.4622 -1.7320
Bi 0.0000 0.0000 0.0000


94
Lattice="-7.2668 -5.5857 -0.3921 -2.5753 10.0590 -3.0068 6.4398 -1.6160 -11.0631" Properties=species:S:1:pos:R:3 comment="Li6Cr5P8O28 (PBE with a Hubbard U, optimized geometry)" magmom_total_mub_per_atom=0.425 space_group="No. 2" pbc="T T T"
O -2.7390 -2.3716 -1.6249
O -3.9120 6.6158 -2.9168
O -3.5386 -5.1909 -5.1030
O -1.6569 0.9111 -10.8272
O -6.9815 3.0667 -5.8590
O 3.9407 -2.8112 -10.4092
O 3.5792 -0.2093 -8.6030
O -2.3313 4.1230 -6.6608
O -4.0655 4.8809 -9.6033
O -0.6614 5.8406 -8.4276
O 0.5226 -3.1339 -7.1145
O -4.9104 1.6315 -5.2953
O 0.5206 2.6170 -4.4411
O -1.2307 3.9593 -10.7554
O -0.1214 2.6148 -7.8286
O -4.3954 4.7275 -5.2245
O -1.7453 1.9463 -3.6349
O 3.7700 1.9199 -9.9908
O 0.6234 3.1003 -12.3512
O -2.2331 0.2921 -13.1550
O 2.5861 -0.1067 -10.9803
O -5.5379 -0.7575 -5.9468
O 0.1363 8.0483 -9.3590
O -0.6857 0.6337 -5.4915
O -3.9248 5.9912 -7.3476
O -4.0256 -0.2430 -2.1108
O -2.2901 -1.5074 -11.3699
O -0.2932 -5.9470 -10.5284
O 0.6633 -2.0235 -4.8587
O -5.4469 1.1278 -7.6604
O -7.3429 5.6685 -4.0529
O -3.6921 2.3925 -11.3619
O -4.4209 -2.3105 -3.4983
O -0.9948 -3.4778 -9.0159
O -5.9883 2.9640 -3.4817
O -2.7408 -2.9832 -6.0345
O -0.6632 5.2289 -12.8371
O -1.0710 -1.2657 -7.8012
O -7.1722 0.9374 -4.4712
O 0.2899 0.4648 -3.1002
O 1.5082 1.2258 -9.1667
O 0.5097 -3.7585 -11.5452
O -1.1121 4.3648 -3.0922
O -2.1715 -1.1019 -3.7066
O 0.9931 -1.8702 -9.2376
O -3.3619 3.4075 -2.3375
O -1.1691 2.5652 -1.3070
O 2.0446 1.7295 -6.8016
O -3.2809 0.2426 -6.6334
O -0.0403 -0.5502 -12.1245
O -3.9229 0.2404 -10.0210
O 1.0186 5.1678 -10.9637
O -3.1090 8.8044 -3.9337
O -2.4075 6.3351 -5.4461
O -2.7165 2.2236 -8.9705
O 2.1357 3.6148 -8.5152
Cr -1.5596 -3.6109 -11.0566
Cr 1.3878 5.7319 -8.9963
Cr -2.3628 8.4228 -5.9075
Cr -5.0141 4.7775 -3.2389
Cr -1.0395 -5.5654 -8.5545
Cr -1.6936 4.0113 -8.7100
Cr -1.7086 -1.1540 -5.7521
Cr -1.8427 6.4683 -3.4054
Cr -4.7900 -2.8746 -5.4657
Cr 1.6118 -1.9202 -11.2231
Li -2.7750 2.1238 -13.2588
Li -3.1407 -1.7961 -9.0084
Li -1.7011 1.4287 -7.2310
Li -6.1752 2.9292 -7.7072
Li -6.3219 -1.2041 -3.5541
Li -0.6272 0.7335 -1.2032
Li 2.9197 4.0614 -10.9080
Li -4.9210 2.2366 -1.6995
Li 3.6236 -2.2023 -8.5878
Li -7.0259 5.0596 -5.8743
Li 2.7730 -0.0719 -6.7548
Li -0.2616 4.6534 -5.4536
P 2.9326 0.6550 -9.7089
P -1.8883 3.1567 -2.5426
P -1.0909 7.2639 -8.8799
P -3.3691 -1.4233 -2.8151
P -4.7648 0.4773 -6.4366
P -0.0332 4.2806 -11.6469
P -3.2593 5.1995 -6.0994
P -4.3602 8.0320 -3.3780
P -1.5140 -0.2993 -11.9194
P -6.3348 2.2023 -4.7532
P -0.3411 1.3682 -4.2039
P -2.3113 -4.4066 -5.5821
P -3.0611 1.4891 -10.2582
P -0.1430 -2.3421 -8.3626
P 1.3626 2.3800 -8.0255
P 0.9580 -5.1746 -11.0840


Number 1: uncorrected energy -7.40 eV/atom, formation energy from the elements -2.499 eV per atom. Number 2: uncorrected energy -7.09 eV/atom, formation energy from the elements -2.573 eV per atom.